This record from the Materials Project database describes a geometry-optimized LiFe5O8 structure. The functional is PBE+U.

a = 5.8200 Å, b = 5.8200 Å, c = 5.8200 Å
α = 60.00°, β = 60.00°, γ = 60.00°
Fractional positions:
Li (0.0000, 0.0000, 0.0000)
Fe (0.3728, 0.3728, 0.3728)
Fe (0.3728, 0.3728, 0.8815)
Fe (0.3728, 0.8815, 0.3728)
Fe (0.7500, 0.7500, 0.7500)
Fe (0.8815, 0.3728, 0.3728)
O (0.1379, 0.1379, 0.1379)
O (0.1379, 0.1379, 0.5863)
O (0.1379, 0.5863, 0.1379)
O (0.1551, 0.6150, 0.6150)
O (0.5863, 0.1379, 0.1379)
O (0.6150, 0.1551, 0.6150)
O (0.6150, 0.6150, 0.1551)
O (0.6150, 0.6150, 0.6150)

Values from the calculation:
Its formation energy is -1.628 eV/atom. Its polymorph energy (0 for the lowest one) is 84 meV/atom. For the calculated total energy, the calculation gives -6.419 eV/atom. The space group is No. 216.